# 1
{
  "formula": "Ba2CaCu2MoO8",
  "functional": "PBE+U",
  "state": "relaxed",
  "cell": [[-3.722, -0.333, 1.218], [1.089, -2.764, 2.573], [2.020, 8.771, 8.567]],
  "species": ["O", "O", "O", "O", "O", "O", "O", "O", "Mo", "Ba", "Ba", "Cu", "Cu", "Ca"],
  "frac_coords": [[0.500, 0.000, 0.374], [0.000, 0.000, 0.154], [0.000, 0.000, 0.846], [0.000, 0.500, 0.000], [0.000, 0.500, 0.626], [0.500, 0.000, 0.000], [0.500, 0.000, 0.626], [0.000, 0.500, 0.374], [0.000, 0.000, 0.000], [0.500, 0.500, 0.787], [0.500, 0.500, 0.213], [0.000, 0.000, 0.621], [0.000, 0.000, 0.379], [0.500, 0.500, 0.500]],
  "ef_ev_per_atom": -2.276,
  "spacegroup": "No. 123",
  "mass_density_g_cm3": 5.76,
  "total_energy_ev_per_atom": -6.260
}

=====

# 2
{
  "formula": "BaCaDyVO6",
  "functional": "PBE+U",
  "state": "relaxed",
  "cell": [[-0.952, 4.261, 3.863], [-5.365, 0.885, 2.100], [-1.212, -1.314, 5.549]],
  "species": ["O", "O", "O", "O", "O", "O", "V", "Ba", "Ca", "Dy"],
  "frac_coords": [[0.269, 0.269, 0.731], [0.269, 0.731, 0.269], [0.731, 0.269, 0.269], [0.731, 0.269, 0.731], [0.731, 0.731, 0.269], [0.269, 0.731, 0.731], [0.500, 0.500, 0.500], [0.750, 0.750, 0.750], [0.250, 0.250, 0.250], [0.000, 0.000, 0.000]],
  "ef_ev_per_atom": -3.102,
  "spacegroup": "No. 216",
  "mass_density_g_cm3": 5.77,
  "total_energy_ev_per_atom": -7.250
}

=====

# 3
{
  "formula": "Ba2CaEr3Ni2O10",
  "functional": "PBE+U",
  "state": "relaxed",
  "cell": [[1.220, 1.151, 6.398], [2.776, -4.902, 3.467], [5.072, 4.675, -0.277]],
  "species": ["Er", "Er", "Er", "O", "O", "O", "O", "O", "O", "O", "O", "O", "O", "Ba", "Ba", "Ni", "Ni", "Ca"],
  "frac_coords": [[0.456, 0.956, 0.750], [0.956, 0.456, 0.250], [0.545, 0.045, 0.250], [0.966, 0.743, 0.130], [0.757, 0.529, 0.612], [0.253, 0.753, 0.750], [0.723, 0.984, 0.889], [0.529, 0.767, 0.379], [0.751, 0.251, 0.250], [0.243, 0.466, 0.370], [0.484, 0.223, 0.611], [0.267, 0.029, 0.121], [0.029, 0.257, 0.888], [0.001, 0.000, 0.502], [0.500, 0.501, 0.998], [0.498, 0.498, 0.501], [0.998, 0.998, 0.999], [0.043, 0.543, 0.750]],
  "ef_ev_per_atom": -2.985,
  "spacegroup": "No. 5",
  "mass_density_g_cm3": 7.41,
  "total_energy_ev_per_atom": -6.798
}

=====

# 4
{
  "formula": "KBaNaCaTi4Fe8Si8O38F2",
  "functional": "PBE+U",
  "state": "relaxed",
  "cell": [[-3.783, 0.094, -3.862], [-4.953, -1.670, 4.812], [-2.164, 20.178, 4.774]],
  "species": ["O", "O", "O", "O", "O", "O", "O", "O", "O", "O", "O", "O", "O", "O", "O", "O", "O", "O", "O", "O", "O", "O", "O", "O", "O", "O", "O", "O", "O", "O", "O", "O", "O", "O", "O", "O", "O", "O", "K", "Fe", "Fe", "Fe", "Fe", "Fe", "Fe", "Fe", "Fe", "Si", "Si", "Si", "Si", "Si", "Si", "Si", "Si", "Ti", "Ti", "Ti", "Ti", "F", "F", "Ba", "Ca", "Na"],
  "frac_coords": [[0.725, 0.697, 0.415], [0.720, 0.187, 0.906], [0.500, 0.500, 0.000], [0.240, 0.813, 0.914], [0.461, 0.500, 0.883], [0.582, 0.246, 0.204], [0.760, 0.813, 0.086], [0.781, 0.310, 0.595], [0.083, 0.500, 0.231], [0.280, 0.187, 0.094], [0.420, 0.000, 0.285], [0.539, 0.500, 0.117], [0.498, 0.500, 0.309], [0.922, 0.208, 0.302], [0.219, 0.310, 0.405], [0.219, 0.690, 0.405], [0.078, 0.792, 0.698], [0.275, 0.303, 0.585], [0.078, 0.208, 0.698], [0.022, 0.000, 0.590], [0.917, 0.500, 0.769], [0.978, 0.000, 0.410], [0.418, 0.246, 0.796], [0.725, 0.303, 0.415], [0.275, 0.697, 0.585], [0.781, 0.690, 0.595], [0.240, 0.187, 0.914], [0.000, 0.000, 0.500], [0.000, 0.000, 0.000], [0.720, 0.813, 0.906], [0.582, 0.754, 0.204], [0.502, 0.500, 0.691], [0.580, 0.000, 0.715], [0.418, 0.754, 0.796], [0.500, 0.500, 0.500], [0.280, 0.813, 0.094], [0.760, 0.187, 0.086], [0.922, 0.792, 0.302], [0.000, 0.500, 0.000], [0.734, 0.739, 0.738], [0.266, 0.739, 0.262], [0.247, 0.500, 0.748], [0.753, 0.500, 0.252], [0.734, 0.261, 0.738], [0.721, 0.000, 0.250], [0.279, 0.000, 0.750], [0.266, 0.261, 0.262], [0.043, 0.782, 0.619], [0.957, 0.218, 0.381], [0.957, 0.782, 0.381], [0.043, 0.218, 0.619], [0.539, 0.275, 0.125], [0.539, 0.725, 0.125], [0.461, 0.275, 0.875], [0.461, 0.725, 0.875], [0.022, 0.000, 0.089], [0.477, 0.500, 0.410], [0.978, 0.000, 0.911], [0.523, 0.500, 0.590], [0.003, 0.000, 0.190], [0.997, 0.000, 0.810], [0.500, 0.000, 0.500], [0.500, 0.000, 0.000], [0.000, 0.500, 0.500]],
  "ef_ev_per_atom": -2.484,
  "spacegroup": "No. 10",
  "mass_density_g_cm3": 3.64,
  "total_energy_ev_per_atom": -7.107
}

=====

# 5
{
  "formula": "Ba2CaV2FeF14",
  "functional": "PBE+U",
  "state": "relaxed",
  "cell": [[2.728, 6.964, 0.000], [-2.728, 6.964, 0.000], [0.000, 0.371, 15.239]],
  "species": ["F", "F", "F", "F", "F", "F", "F", "F", "F", "F", "F", "F", "F", "F", "F", "F", "F", "F", "F", "F", "F", "F", "F", "F", "F", "F", "F", "F", "Ba", "Ba", "Ba", "Ba", "Ca", "Ca", "V", "V", "V", "V", "Fe", "Fe"],
  "frac_coords": [[0.926, 0.331, 0.547], [0.448, 0.875, 0.223], [0.188, 0.306, 0.910], [0.582, 0.397, 0.658], [0.659, 0.092, 0.296], [0.143, 0.966, 0.880], [0.857, 0.034, 0.120], [0.603, 0.418, 0.842], [0.397, 0.582, 0.158], [0.966, 0.143, 0.380], [0.230, 0.600, 0.984], [0.875, 0.448, 0.723], [0.418, 0.603, 0.342], [0.908, 0.341, 0.204], [0.341, 0.908, 0.704], [0.331, 0.926, 0.047], [0.770, 0.400, 0.016], [0.600, 0.230, 0.484], [0.074, 0.669, 0.453], [0.400, 0.770, 0.516], [0.694, 0.812, 0.590], [0.552, 0.125, 0.777], [0.669, 0.074, 0.953], [0.306, 0.188, 0.410], [0.034, 0.857, 0.620], [0.812, 0.694, 0.090], [0.125, 0.552, 0.277], [0.092, 0.659, 0.796], [0.355, 0.264, 0.122], [0.264, 0.355, 0.622], [0.645, 0.736, 0.878], [0.736, 0.645, 0.378], [0.946, 0.054, 0.750], [0.054, 0.946, 0.250], [0.620, 0.620, 0.124], [0.380, 0.380, 0.876], [0.380, 0.380, 0.376], [0.620, 0.620, 0.624], [0.000, 0.000, 0.500], [0.000, 0.000, 0.000]],
  "ef_ev_per_atom": -3.583,
  "spacegroup": "No. 15",
  "mass_density_g_cm3": 4.24,
  "total_energy_ev_per_atom": -5.941
}

=====

# 6
{
  "formula": "Ba2CaMnV2F14",
  "functional": "PBE+U",
  "state": "relaxed",
  "cell": [[-0.497, -3.197, -6.784], [-0.049, 2.247, -7.172], [15.211, -1.320, -0.921]],
  "species": ["Ca", "Ca", "Mn", "Mn", "F", "F", "F", "F", "F", "F", "F", "F", "F", "F", "F", "F", "F", "F", "F", "F", "F", "F", "F", "F", "F", "F", "F", "F", "F", "F", "F", "F", "V", "V", "V", "V", "Ba", "Ba", "Ba", "Ba"],
  "frac_coords": [[0.048, 0.952, 0.250], [0.952, 0.048, 0.750], [0.000, 0.000, 0.500], [0.000, 0.000, 0.000], [0.550, 0.124, 0.777], [0.072, 0.668, 0.453], [0.450, 0.876, 0.223], [0.692, 0.813, 0.590], [0.407, 0.612, 0.344], [0.236, 0.594, 0.984], [0.151, 0.963, 0.877], [0.594, 0.236, 0.484], [0.764, 0.406, 0.016], [0.612, 0.407, 0.844], [0.905, 0.343, 0.203], [0.343, 0.905, 0.703], [0.963, 0.151, 0.377], [0.876, 0.450, 0.723], [0.187, 0.308, 0.910], [0.124, 0.550, 0.277], [0.928, 0.332, 0.547], [0.406, 0.764, 0.516], [0.593, 0.388, 0.656], [0.668, 0.072, 0.953], [0.813, 0.692, 0.090], [0.095, 0.657, 0.797], [0.657, 0.095, 0.297], [0.037, 0.849, 0.623], [0.388, 0.593, 0.156], [0.849, 0.037, 0.123], [0.332, 0.928, 0.047], [0.308, 0.187, 0.410], [0.377, 0.381, 0.376], [0.381, 0.377, 0.876], [0.619, 0.623, 0.124], [0.623, 0.619, 0.624], [0.734, 0.645, 0.377], [0.645, 0.734, 0.877], [0.266, 0.355, 0.623], [0.355, 0.266, 0.123]],
  "ef_ev_per_atom": -3.638,
  "spacegroup": "No. 15",
  "mass_density_g_cm3": 4.18,
  "total_energy_ev_per_atom": -6.060
}

=====

# 7
{
  "formula": "BaCaVF7",
  "functional": "PBE+U",
  "state": "relaxed",
  "cell": [[-3.909, -3.589, 9.269], [2.762, -5.012, -0.776], [8.152, 3.365, 4.741]],
  "species": ["F", "F", "F", "F", "F", "F", "F", "F", "F", "F", "F", "F", "F", "F", "F", "F", "F", "F", "F", "F", "F", "F", "F", "F", "F", "F", "F", "F", "Ca", "Ca", "Ca", "Ca", "Ba", "Ba", "Ba", "Ba", "V", "V", "V", "V"],
  "frac_coords": [[0.224, 0.010, 0.260], [0.276, 0.010, 0.760], [0.086, 0.902, 0.604], [0.296, 0.289, 0.021], [0.914, 0.098, 0.396], [0.796, 0.711, 0.479], [0.537, 0.600, 0.378], [0.033, 0.654, 0.371], [0.790, 0.533, 0.236], [0.538, 0.919, 0.644], [0.467, 0.654, 0.871], [0.462, 0.081, 0.356], [0.037, 0.400, 0.122], [0.038, 0.081, 0.856], [0.463, 0.400, 0.622], [0.776, 0.990, 0.740], [0.963, 0.600, 0.878], [0.210, 0.467, 0.764], [0.586, 0.098, 0.896], [0.724, 0.990, 0.240], [0.704, 0.711, 0.979], [0.290, 0.467, 0.264], [0.204, 0.289, 0.521], [0.967, 0.346, 0.629], [0.414, 0.902, 0.104], [0.962, 0.919, 0.144], [0.710, 0.533, 0.736], [0.533, 0.346, 0.129], [0.088, 0.290, 0.326], [0.912, 0.710, 0.674], [0.588, 0.710, 0.174], [0.412, 0.290, 0.826], [0.834, 0.265, 0.993], [0.666, 0.265, 0.493], [0.166, 0.735, 0.007], [0.334, 0.735, 0.507], [0.124, 0.192, 0.694], [0.876, 0.808, 0.306], [0.376, 0.192, 0.194], [0.624, 0.808, 0.806]],
  "ef_ev_per_atom": -3.795,
  "spacegroup": "No. 14",
  "mass_density_g_cm3": 3.89,
  "total_energy_ev_per_atom": -5.943
}

=====

# 8
{
  "formula": "BaCaNdFeO6",
  "functional": "PBE+U",
  "state": "relaxed",
  "cell": [[0.000, -4.072, -4.072], [4.072, 0.000, -4.072], [4.072, -4.072, 0.000]],
  "species": ["O", "O", "O", "O", "O", "O", "Nd", "Fe", "Ba", "Ca"],
  "frac_coords": [[0.270, 0.270, 0.730], [0.730, 0.270, 0.730], [0.730, 0.730, 0.270], [0.730, 0.270, 0.270], [0.270, 0.730, 0.730], [0.270, 0.730, 0.270], [0.250, 0.250, 0.250], [0.500, 0.500, 0.500], [0.750, 0.750, 0.750], [0.000, 0.000, 0.000]],
  "ef_ev_per_atom": -2.541,
  "spacegroup": "No. 216",
  "mass_density_g_cm3": 5.82,
  "total_energy_ev_per_atom": -6.588
}

=====

# 9
{
  "formula": "BaCaFe4O8",
  "functional": "PBE+U",
  "state": "relaxed",
  "cell": [[2.760, -4.781, 0.000], [2.760, 4.781, 0.000], [0.000, 0.000, 7.837]],
  "species": ["Ca", "O", "O", "O", "O", "O", "O", "O", "O", "Fe", "Fe", "Fe", "Fe", "Ba"],
  "frac_coords": [[0.000, 0.000, 0.500], [0.667, 0.333, 0.000], [0.669, 0.000, 0.696], [0.000, 0.331, 0.304], [0.331, 0.000, 0.304], [0.669, 0.669, 0.304], [0.000, 0.669, 0.696], [0.333, 0.667, 0.000], [0.331, 0.331, 0.696], [0.333, 0.667, 0.759], [0.667, 0.333, 0.759], [0.667, 0.333, 0.241], [0.333, 0.667, 0.241], [0.000, 0.000, 0.000]],
  "ef_ev_per_atom": -2.106,
  "spacegroup": "No. 162",
  "mass_density_g_cm3": 4.25,
  "total_energy_ev_per_atom": -6.597
}

=====

# 10
{
  "formula": "BaCaFe4O7",
  "functional": "PBE+U",
  "state": "relaxed",
  "cell": [[-3.295, -5.708, 0.044], [-3.161, 5.630, -0.022], [0.038, 0.065, -10.492]],
  "species": ["O", "O", "O", "O", "O", "O", "O", "O", "O", "O", "O", "O", "O", "O", "Fe", "Fe", "Fe", "Fe", "Fe", "Fe", "Fe", "Fe", "Ca", "Ca", "Ba", "Ba"],
  "frac_coords": [[0.006, 0.997, 0.759], [0.253, 0.328, 0.992], [0.924, 0.672, 0.492], [0.752, 0.073, 0.506], [0.011, 0.476, 0.759], [0.098, 0.769, 0.993], [0.462, 0.001, 0.260], [0.009, 0.003, 0.259], [0.329, 0.231, 0.493], [0.461, 0.999, 0.760], [0.679, 0.927, 0.006], [0.992, 0.481, 0.246], [0.510, 0.519, 0.746], [0.535, 0.524, 0.259], [0.630, 0.842, 0.825], [0.145, 0.805, 0.815], [0.340, 0.195, 0.315], [0.201, 0.339, 0.814], [0.001, 0.003, 0.556], [0.788, 0.158, 0.325], [0.998, 0.997, 0.056], [0.862, 0.661, 0.314], [0.337, 0.668, 0.121], [0.668, 0.332, 0.621], [0.337, 0.665, 0.497], [0.672, 0.335, 0.997]],
  "ef_ev_per_atom": -2.074,
  "spacegroup": "No. 9",
  "mass_density_g_cm3": 4.44,
  "total_energy_ev_per_atom": -6.583
}

=====

# 11
{
  "formula": "BaCaPrFeO6",
  "functional": "PBE+U",
  "state": "relaxed",
  "cell": [[0.832, 1.552, -5.651], [2.257, -3.899, -3.838], [-3.429, -2.305, -4.238]],
  "species": ["O", "O", "O", "O", "O", "O", "Ca", "Fe", "Pr", "Ba"],
  "frac_coords": [[0.226, 0.774, 0.226], [0.774, 0.226, 0.774], [0.774, 0.226, 0.226], [0.774, 0.774, 0.226], [0.226, 0.226, 0.774], [0.226, 0.774, 0.774], [0.250, 0.250, 0.250], [0.000, 0.000, 0.000], [0.500, 0.500, 0.500], [0.750, 0.750, 0.750]],
  "ef_ev_per_atom": -2.507,
  "spacegroup": "No. 216",
  "mass_density_g_cm3": 5.33,
  "total_energy_ev_per_atom": -6.556
}

=====

# 12
{
  "formula": "BaCaSmFeO6",
  "functional": "PBE+U",
  "state": "relaxed",
  "cell": [[0.000, -4.065, -4.065], [4.065, 0.000, -4.065], [4.065, -4.065, 0.000]],
  "species": ["Ca", "O", "O", "O", "O", "O", "O", "Fe", "Ba", "Sm"],
  "frac_coords": [[0.000, 0.000, 0.000], [0.270, 0.270, 0.730], [0.270, 0.730, 0.730], [0.730, 0.730, 0.270], [0.730, 0.270, 0.730], [0.730, 0.270, 0.270], [0.270, 0.730, 0.270], [0.500, 0.500, 0.500], [0.750, 0.750, 0.750], [0.250, 0.250, 0.250]],
  "ef_ev_per_atom": -2.516,
  "spacegroup": "No. 216",
  "mass_density_g_cm3": 5.93,
  "total_energy_ev_per_atom": -6.559
}